(1)
First-principles (PBE with a Hubbard U) data for Mn2CdTeO6 after structural relaxation, as listed in the Materials Project database.

Cell: 6.406 6.422 6.422 Å, 90.54 90.64 90.77°
Sites, in units of the cell vectors:
O 0.946 0.075 0.287
O 0.795 0.433 0.572
O 0.557 0.441 0.209
O 0.087 0.290 0.945
O 0.031 0.915 0.705
Te 0.505 0.501 0.505
Mn 0.439 0.252 0.948
Mn 0.052 0.564 0.750
O 0.293 0.956 0.069
Te 0.997 0.001 0.996
O 0.437 0.563 0.799
O 0.576 0.791 0.434
O 0.211 0.567 0.451
Cd 0.252 0.948 0.437
O 0.913 0.709 0.034
O 0.449 0.209 0.575
Cd 0.946 0.439 0.249
Mn 0.562 0.749 0.050
Mn 0.748 0.051 0.565
O 0.704 0.047 0.919

Calculated values
ΔH_f (0 K) in eV per atom: -1.786

(2)
First-principles (PBE with a Hubbard U) data for Ca2MnReO6 after structural relaxation, as listed in the Materials Project database.

Cell: 5.490 11.412 7.864 Å, 90.00 90.14 90.00°
Sites, in units of the cell vectors:
O 0.819 0.609 0.556
O 0.399 0.018 0.765
O 0.820 0.108 0.558
Ca 0.014 0.529 0.247
Ca 0.485 0.279 0.252
Ca 0.015 0.029 0.248
O 0.288 0.656 0.452
O 0.320 0.142 0.058
O 0.101 0.268 0.735
O 0.400 0.518 0.763
O 0.319 0.641 0.056
O 0.900 0.732 0.263
Ca 0.987 0.471 0.754
Ca 0.487 0.779 0.253
Mn 0.500 0.500 0.500
O 0.181 0.392 0.443
O 0.289 0.157 0.451
O 0.788 0.594 0.952
O 0.180 0.892 0.442
O 0.211 0.407 0.048
O 0.601 0.982 0.235
Re 0.000 0.251 0.500
Mn 0.000 0.750 0.000
Mn 0.500 0.000 0.500
Re 0.001 0.749 0.500
O 0.212 0.906 0.048
O 0.100 0.768 0.737
O 0.712 0.344 0.548
Ca 0.515 0.221 0.747
O 0.711 0.843 0.548
Re 0.501 0.501 0.000
O 0.680 0.358 0.942
Mn 0.000 0.250 0.000
O 0.789 0.093 0.952
Re 0.500 0.999 0.000
Ca 0.514 0.721 0.747
O 0.600 0.482 0.237
O 0.681 0.858 0.943
O 0.899 0.232 0.265
Ca 0.985 0.971 0.752

Calculated values
ΔH_f (0 K) in eV per atom: -2.656

(3)
First-principles (PBE with a Hubbard U) data for MgMn3Zn2O8 after structural relaxation, as listed in the Materials Project database.

Cell: 5.756 5.692 5.745 Å, 119.69 89.82 90.00°
Sites, in units of the cell vectors:
O 0.181 0.932 0.863
Mn 0.501 0.998 0.997
O 0.088 0.398 0.796
O 0.599 0.105 0.736
O 0.822 0.102 0.205
O 0.373 0.895 0.249
Mg 0.798 0.304 0.609
O 0.373 0.355 0.249
Mn 0.040 0.785 0.071
O 0.898 0.632 0.264
Mn 0.040 0.286 0.071
Zn 0.565 0.704 0.407
Zn 0.362 0.290 0.581
O 0.599 0.631 0.736

Calculated values
ΔH_f (0 K) in eV per atom: -1.942